Material: MgSbOF3
Method: DFT, PBE
State: optimized geometry

Symmetry   Cm (8)
Energy of formation   -2611 meV per atom
M_tot   0.0 μB per cell

Cell and atoms, written as extended XYZ:
```
6
Lattice="4.373 0.039 1.541 -2.604 1.605 4.905 -0.791 -3.241 2.328" Properties=species:S:1:pos:R:3 pbc="T T T"
Mg -0.682 -0.734 5.857
Sb -0.917 -3.029 2.581
O -0.831 1.353 5.157
F 1.559 0.654 4.996
F 1.515 -0.189 7.363
F -0.291 -1.852 4.433
```

=====

Material: MgSb2O4F2
Method: DFT, PBE
State: optimized geometry

Symmetry   P1 (1)
Energy of formation   -2328 meV per atom
M_tot   0.0 μB per cell

Cell and atoms, written as extended XYZ:
```
9
Lattice="5.298 -0.291 1.032 -1.834 1.069 4.686 2.892 -4.904 1.177" Properties=species:S:1:pos:R:3 pbc="T T T"
Mg 5.702 -3.830 4.007
Sb 0.485 -0.396 0.146
Sb 3.150 -1.984 3.372
O 1.795 -2.988 4.426
O 2.540 -0.365 4.293
O 4.070 -3.588 2.682
O 3.961 -0.567 2.150
F 1.657 -2.213 2.014
F 4.648 -2.165 4.730
```

=====

Material: MgSbOF3
Method: DFT, PBE
State: optimized geometry

Symmetry   Cm (8)
Energy of formation   -2840 meV per atom
M_tot   0.0 μB per cell

Cell and atoms, written as extended XYZ:
```
6
Lattice="3.658 -1.187 -0.333 -3.585 -5.247 1.691 -1.273 -3.006 -3.263" Properties=species:S:1:pos:R:3 pbc="T T T"
Mg -0.095 -5.974 -2.115
Sb -1.249 -2.981 -3.096
O 1.586 -1.379 -0.039
F 0.566 -4.581 0.185
F -0.265 -6.980 -0.409
F -1.801 -5.021 -1.877
```

=====

Material: MgSiO6F6
Method: DFT, PBE
State: optimized geometry

Symmetry   P2_1/c (14)
Energy of formation   -1229 meV per atom
M_tot   0.0 μB per cell

Cell and atoms, written as extended XYZ:
```
28
Lattice="0.194 -5.544 2.282 1.282 -3.095 -5.395 9.772 1.049 1.720" Properties=species:S:1:pos:R:3 pbc="T T T"
Mg 5.527 -1.023 -1.838
Mg 0.000 0.000 0.000
Si 0.738 -4.319 -1.556
Si 4.983 -2.247 2.001
O 4.907 -5.193 -0.794
O 10.172 -3.602 -2.735
O 6.340 -2.397 -0.599
O 1.076 -3.988 1.342
O 7.728 -5.305 1.510
O 2.463 -0.782 -0.279
O 3.520 -2.285 -2.903
O 8.784 -6.808 -1.114
O 3.699 -5.848 1.572
O 8.444 -0.029 0.002
O 7.549 -1.742 -2.965
O 2.804 -7.561 -1.396
F 6.254 -3.329 2.017
F 1.688 -3.000 -1.181
F 4.993 -4.261 -3.410
F 9.560 -4.590 -0.212
F 5.287 -6.520 -2.548
F 9.655 -2.290 -1.005
F 5.960 -1.070 1.155
F 1.592 -5.300 -0.388
F 4.469 -2.874 0.446
F 9.384 -2.820 1.429
F 6.779 -4.716 -1.839
F 1.864 -4.770 -2.822
```

=====

Material: MgSiO6F6
Method: DFT, PBE
State: optimized geometry

Symmetry   P2_1/c (14)
Energy of formation   -1733 meV per atom
M_tot   0.0 μB per cell

Cell and atoms, written as extended XYZ:
```
28
Lattice="9.630 0.000 0.000 0.000 6.658 0.000 0.000 3.198 6.147" Properties=species:S:1:pos:R:3 pbc="T T T"
Mg 4.815 1.599 3.074
Mg 0.000 0.000 0.000
Si 0.000 4.928 3.074
Si 4.815 3.329 0.000
O 2.938 7.366 2.007
O 7.753 0.890 1.067
O 6.692 2.489 4.140
O 1.877 8.965 5.080
O 7.506 8.138 4.236
O 2.691 3.316 4.985
O 2.124 1.717 1.911
O 6.939 6.539 1.162
O 3.757 3.157 4.323
O 8.572 8.297 4.897
O 5.873 6.698 1.824
O 1.058 1.558 1.250
F 6.374 3.923 0.164
F 1.559 4.334 2.909
F 3.256 5.933 5.983
F 8.071 5.522 3.238
F 4.199 4.865 0.304
F 9.014 3.392 2.769
F 5.431 4.991 5.843
F 0.616 6.464 3.378
F 4.850 6.908 4.372
F 0.035 4.546 4.848
F 4.780 2.947 1.775
F 9.595 5.309 1.299
```

=====

Material: Mg7Si8O22F2
Method: DFT, PBE
State: optimized geometry

Symmetry   Pnnm (58)
Energy of formation   -3289 meV per atom
M_tot   0.0 μB per cell

Cell and atoms, written as extended XYZ:
```
78
Lattice="-2.027 2.685 -4.181 -4.844 -7.708 -2.601 -13.959 5.333 10.192" Properties=species:S:1:pos:R:3 pbc="T T T"
Mg -10.635 -0.716 4.696
Mg -12.901 1.105 3.520
Mg -11.362 5.296 5.465
Mg -5.791 -2.567 1.159
Mg -7.929 -0.795 -0.110
Mg -4.624 2.722 0.546
Mg -13.012 0.192 6.432
Mg -8.168 -1.659 2.895
Mg 0.000 0.000 0.000
Mg -13.739 6.204 7.201
Mg -2.486 0.950 1.815
Mg -2.247 1.814 -1.190
Mg -11.473 4.384 8.377
Mg -10.415 0.155 1.705
Si -12.621 -2.060 2.551
Si -14.360 3.958 4.881
Si -10.564 3.270 2.579
Si -8.209 2.371 0.859
Si -14.889 -0.317 1.306
Si -17.918 1.591 4.020
Si -5.941 0.627 2.105
Si -10.708 2.449 5.585
Si -6.470 -3.648 -1.471
Si -10.266 -2.960 0.832
Si -5.168 0.446 -1.830
Si -15.662 -0.136 5.241
Si -10.122 -2.139 -2.175
Si -2.912 -1.281 -0.610
Si -6.314 -2.843 -4.453
Si -14.516 3.153 7.863
O -12.896 -3.012 3.846
O -9.054 3.211 1.970
O -11.393 3.555 6.535
O -2.079 0.038 -0.117
O -16.350 -0.604 1.923
O -13.729 2.924 3.818
O -9.013 1.013 0.427
O -11.596 1.126 5.173
O -11.817 -0.703 2.984
O -15.698 4.455 3.996
O -9.234 -0.815 -1.763
O -14.098 1.043 1.789
O -4.373 1.801 -1.339
O -16.457 -1.491 4.749
O -16.600 1.161 4.878
O -4.230 -0.851 -1.467
O -7.184 -4.148 -4.918
O -9.426 -1.617 1.238
O -6.732 -0.733 1.622
O -6.683 0.232 -1.326
O -11.404 1.927 2.173
O -18.751 0.272 3.528
O -9.437 -3.245 -3.125
O -4.480 0.914 1.487
O -11.309 4.612 2.029
O -6.743 1.977 1.507
O -5.132 -4.145 -0.585
O -10.460 3.397 4.221
O -5.456 0.542 -3.483
O -13.468 5.276 5.302
O -1.971 -2.247 -1.524
O -7.101 -2.614 -0.408
O -7.934 3.323 -0.435
O -7.362 -4.966 -1.892
O -10.370 -3.087 -0.810
O -9.521 -4.302 1.382
O -4.900 -2.776 -5.258
O -14.087 -1.667 1.904
O -6.016 -2.883 -2.850
O -14.814 3.193 6.261
O -11.776 -2.900 1.440
O -15.374 -0.232 6.893
O -13.646 4.458 8.329
O -14.146 0.078 4.736
F -11.593 0.262 0.036
F -5.025 -6.015 -3.735
F -1.846 0.991 -3.047
F -9.237 0.048 3.375
```

=====

Material: MgPdF6
Method: DFT, PBE
State: optimized geometry

Symmetry   R-3 (148)
Energy of formation   -2431 meV per atom

Cell and atoms, written as extended XYZ:
```
8
Lattice="-3.278 -3.737 1.169 -5.011 0.685 -0.708 -2.390 -2.671 -4.087" Properties=species:S:1:pos:R:3 pbc="T T T"
Mg -5.339 -2.862 -1.813
Pd 0.000 0.000 0.000
F -3.596 -3.349 -2.712
F -5.960 -1.907 -3.482
F -4.500 -1.140 -1.168
F -4.718 -3.817 -0.143
F -7.083 -2.375 -0.914
F -6.179 -4.584 -2.457
```

=====

Material: RbMgF3
Method: DFT, PBE
State: optimized geometry

Symmetry   Pm-3m (221)
Energy of formation   -3505 meV per atom

Cell and atoms, written as extended XYZ:
```
5
Lattice="-3.413 1.935 1.286 -1.539 -3.594 1.325 1.740 0.616 3.692" Properties=species:S:1:pos:R:3 pbc="T T T"
Rb 0.000 0.000 0.000
Mg -1.605 -0.522 3.151
F 0.101 -1.489 2.509
F -0.836 1.275 2.489
F -2.476 -0.830 1.305
```

=====

Material: RbMgF3
Method: DFT, PBE
State: optimized geometry

Symmetry   P6_3/mmc (194)
Energy of formation   -2944 meV per atom
M_tot   0.0 μB per cell

Cell and atoms, written as extended XYZ:
```
30
Lattice="3.453 -5.982 0.000 3.453 5.982 0.000 0.000 0.000 14.358" Properties=species:S:1:pos:R:3 pbc="T T T"
Rb 3.453 1.994 1.979
Rb 3.453 1.994 5.200
Rb 3.453 -1.994 12.379
Rb 3.453 -1.994 9.158
Rb 0.000 0.000 3.590
Rb 0.000 0.000 10.769
Mg 3.453 1.994 9.469
Mg 3.453 -1.994 2.290
Mg 3.453 -1.994 4.889
Mg 0.000 0.000 7.179
Mg 3.453 1.994 12.068
Mg 0.000 0.000 0.000
F 3.453 -0.528 3.590
F 5.512 0.805 1.218
F 5.512 0.805 5.961
F 1.395 -0.805 13.141
F 3.453 4.371 1.218
F 3.453 -4.371 8.397
F 4.723 2.727 10.769
F 3.453 4.371 5.961
F 1.395 0.805 5.961
F 2.184 -2.727 3.590
F 1.395 -0.805 8.397
F 1.395 0.805 1.218
F 3.453 -4.371 13.141
F 2.184 2.727 10.769
F 3.453 0.528 10.769
F 4.723 -2.727 3.590
F 5.512 -0.805 13.141
F 5.512 -0.805 8.397
```

=====

Material: Rb2MgF4
Method: DFT, PBE
State: optimized geometry

Symmetry   I4/mmm (139)
Energy of formation   -3343 meV per atom

Cell and atoms, written as extended XYZ:
```
7
Lattice="-0.949 -0.831 3.932 -3.698 -1.402 -1.189 4.996 -5.324 -2.087" Properties=species:S:1:pos:R:3 pbc="T T T"
Rb -1.531 -3.027 1.159
Rb 1.880 -4.530 -0.504
Mg 0.000 0.000 0.000
F -0.475 -0.416 1.966
F -1.849 -0.701 -0.595
F -0.424 -5.694 0.862
F 0.773 -1.863 -0.207
```

=====

Material: RbMgF3
Method: DFT, PBE
State: optimized geometry

Symmetry   P6_3/mmc (194)
Energy of formation   -3508 meV per atom

Cell and atoms, written as extended XYZ:
```
30
Lattice="2.965 -5.135 0.000 2.965 5.135 0.000 0.000 0.000 14.438" Properties=species:S:1:pos:R:3 pbc="T T T"
Rb 0.000 0.000 3.610
Rb 0.000 0.000 10.829
Rb 2.965 1.712 1.418
Rb 2.965 -1.712 8.637
Rb 2.965 -1.712 13.020
Rb 2.965 1.712 5.801
Mg 0.000 0.000 0.000
Mg 0.000 0.000 7.219
Mg 2.965 1.712 12.238
Mg 2.965 -1.712 5.019
Mg 2.965 -1.712 2.200
Mg 2.965 1.712 9.419
F 1.669 -2.460 3.610
F 2.965 0.215 10.829
F 1.669 2.460 10.829
F 4.261 -2.460 3.610
F 2.965 -0.215 3.610
F 4.261 2.460 10.829
F 4.453 -0.852 1.153
F 2.965 3.430 8.372
F 4.453 0.852 8.372
F 1.476 -0.852 1.153
F 2.965 -3.430 1.153
F 1.476 0.852 13.285
F 2.965 3.430 13.285
F 1.476 0.852 8.372
F 4.453 0.852 13.285
F 1.476 -0.852 6.066
F 4.453 -0.852 6.066
F 2.965 -3.430 6.066
```

=====

Material: MgSbF6
Method: DFT, PBE
State: optimized geometry

Symmetry   R-3 (148)
Energy of formation   -3017 meV per atom
M_tot   0.7 μB per cell

Cell and atoms, written as extended XYZ:
```
8
Lattice="-4.988 -2.381 1.170 -2.236 -4.016 -3.284 -0.419 -5.368 1.712" Properties=species:S:1:pos:R:3 pbc="T T T"
Mg -3.822 -5.882 -0.201
Sb 0.000 0.000 0.000
F -5.255 -6.278 -1.557
F -5.020 -6.528 1.281
F -4.572 -4.029 0.024
F -2.623 -5.236 -1.683
F -2.388 -5.486 1.155
F -3.071 -7.736 -0.426
```

=====

Material: MgSbF5
Method: DFT, PBE
State: optimized geometry

Symmetry   P2_1/c (14)
Energy of formation   -3142 meV per atom
M_tot   0.0 μB per cell

Cell and atoms, written as extended XYZ:
```
28
Lattice="10.151 0.000 0.000 0.000 5.677 0.000 0.000 4.034 6.982" Properties=species:S:1:pos:R:3 pbc="T T T"
Mg 0.264 5.958 5.661
Mg 5.340 5.771 4.811
Mg 9.886 3.753 1.321
Mg 4.811 3.941 2.170
Sb 7.887 3.048 4.671
Sb 2.811 8.680 5.802
Sb 2.264 6.663 2.311
Sb 7.340 1.031 1.180
F 9.453 4.476 4.781
F 4.377 7.253 5.692
F 0.698 5.236 2.201
F 5.774 2.459 1.290
F 6.118 4.220 3.722
F 1.043 7.508 6.750
F 4.033 5.491 3.259
F 9.108 2.203 0.231
F 4.283 4.413 5.839
F 9.358 7.316 4.634
F 5.868 5.299 1.143
F 0.793 2.396 2.348
F 1.563 4.701 6.543
F 6.638 7.028 3.930
F 8.588 5.011 0.439
F 3.513 2.683 3.052
F 6.852 5.296 6.192
F 1.776 6.433 4.281
F 3.299 4.415 0.790
F 8.374 3.279 2.701
```

=====

Material: MgSbF5
Method: DFT, PBE
State: optimized geometry

Symmetry   C2/c (15)
Energy of formation   -3049 meV per atom
M_tot   0.0 μB per cell

Cell and atoms, written as extended XYZ:
```
14
Lattice="3.315 4.613 0.000 -3.315 4.613 0.000 0.000 3.803 7.351" Properties=species:S:1:pos:R:3 pbc="T T T"
Mg 0.082 7.466 5.513
Mg -0.082 5.564 1.838
Sb 0.000 0.000 0.000
Sb 0.000 1.902 3.675
F -2.227 5.564 1.838
F 2.227 7.466 5.513
F -0.171 3.792 2.662
F -0.171 7.336 1.013
F 1.240 4.996 0.496
F 1.240 6.132 3.180
F -1.240 8.034 6.855
F -1.240 6.897 4.171
F 0.171 5.693 6.338
F 0.171 9.238 4.689
```